Computed, not measured: a relaxed Tb2Nb3Ge4 crystal at the meta-GGA r2SCAN level of DFT.

Results
E_form, eV per atom: -0.826

Unit cell a=7.0057 b=7.1953 c=13.5671 alpha=90.00 beta=90.00 gamma=90.00
Last column: nearest neighbours and their distance in Å.
Element x y z (fractional)
Tb (0.4978, 0.3261, 0.0956)  7 Ge 2.86-3.09
Tb (0.9978, 0.1739, 0.4044)  7 Ge 2.86-3.09
Tb (0.5022, 0.6739, 0.5956)  7 Ge 2.86-3.09
Tb (0.0022, 0.8261, 0.9044)  7 Ge 2.86-3.09
Tb (0.5022, 0.6739, 0.9044)  7 Ge 2.86-3.09
Tb (0.0022, 0.8261, 0.5956)  7 Ge 2.86-3.09
Tb (0.4978, 0.3261, 0.4044)  7 Ge 2.86-3.09
Tb (0.9978, 0.1739, 0.0956)  7 Ge 2.86-3.09
Nb (0.6642, 0.0133, 0.7500)  6 Ge 2.74-2.89, 2 Nb 3.04
Nb (0.1642, 0.4867, 0.7500)  6 Ge 2.74-2.89, 2 Nb 3.04
Nb (0.3358, 0.9867, 0.2500)  6 Ge 2.74-2.89, 2 Nb 3.04
Nb (0.8358, 0.5133, 0.2500)  6 Ge 2.74-2.89, 2 Nb 3.04
Nb (0.8401, 0.3279, 0.6268)  6 Ge 2.64-2.78
Nb (0.3401, 0.1721, 0.8732)  6 Ge 2.64-2.78
Nb (0.1599, 0.6721, 0.1268)  6 Ge 2.64-2.78
Nb (0.6599, 0.8279, 0.3732)  6 Ge 2.64-2.78
Nb (0.1599, 0.6721, 0.3732)  6 Ge 2.64-2.78
Nb (0.6599, 0.8279, 0.1268)  6 Ge 2.64-2.78
Nb (0.8401, 0.3279, 0.8732)  6 Ge 2.64-2.78
Nb (0.3401, 0.1721, 0.6268)  6 Ge 2.64-2.78
Ge (0.8044, 0.6353, 0.7500)  1 Ge 2.62, 4 Nb 2.74-2.89, 2 Tb 2.86
Ge (0.3044, 0.8647, 0.7500)  1 Ge 2.62, 4 Nb 2.74-2.89, 2 Tb 2.86
Ge (0.1956, 0.3647, 0.2500)  1 Ge 2.62, 4 Nb 2.74-2.89, 2 Tb 2.86
Ge (0.6956, 0.1353, 0.2500)  1 Ge 2.62, 4 Nb 2.74-2.89, 2 Tb 2.86
Ge (0.5400, 0.3786, 0.7500)  1 Ge 2.62, 6 Nb 2.64-2.77
Ge (0.0400, 0.1214, 0.7500)  1 Ge 2.62, 6 Nb 2.64-2.77
Ge (0.4600, 0.6214, 0.2500)  1 Ge 2.62, 6 Nb 2.64-2.77
Ge (0.9600, 0.8786, 0.2500)  1 Ge 2.62, 6 Nb 2.64-2.77
Ge (0.6734, 0.0390, 0.5416)  4 Nb 2.65-2.83, 1 Ge 2.74, 1 Tb 2.86
Ge (0.1734, 0.4610, 0.9584)  4 Nb 2.65-2.83, 1 Ge 2.74, 1 Tb 2.86
Ge (0.3266, 0.9610, 0.0416)  4 Nb 2.65-2.83, 1 Ge 2.74, 1 Tb 2.86
Ge (0.8266, 0.5390, 0.4584)  4 Nb 2.65-2.83, 1 Ge 2.74, 1 Tb 2.86
Ge (0.3266, 0.9610, 0.4584)  4 Nb 2.65-2.83, 1 Ge 2.74, 1 Tb 2.86
Ge (0.8266, 0.5390, 0.0416)  4 Nb 2.65-2.83, 1 Ge 2.74, 1 Tb 2.86
Ge (0.6734, 0.0390, 0.9584)  4 Nb 2.65-2.83, 1 Ge 2.74, 1 Tb 2.86
Ge (0.1734, 0.4610, 0.5416)  4 Nb 2.65-2.83, 1 Ge 2.74, 1 Tb 2.86

Computed, not measured: a relaxed As crystal at the meta-GGA r2SCAN level of DFT.

Results
E_form, eV per atom: 0.153
Excess energy over the best structure of this formula in the dataset, meV per atom: 153.0

Unit cell a=3.8236 b=3.8236 c=3.8236 alpha=60.00 beta=60.00 gamma=60.00
Last column: nearest neighbours and their distance in Å.
Element x y z (fractional)
As (0.2500, 0.2500, 0.2500)  6 As 2.70
As (0.7500, 0.7500, 0.7500)  6 As 2.70

Computed, not measured: a relaxed VInPb2O6 crystal at the meta-GGA r2SCAN level of DFT.

Results
E_form, eV per atom: -1.784

Unit cell a=5.6657 b=5.6657 c=5.6657 alpha=60.00 beta=60.00 gamma=60.00
Last column: nearest neighbours and their distance in Å.
Element x y z (fractional)
V (0.5000, 0.5000, 0.5000)  6 O 1.88
In (0.0000, 0.0000, 0.0000)  6 O 2.13
Pb (0.2500, 0.2500, 0.2500)  12 O 2.84
Pb (0.7500, 0.7500, 0.7500)  12 O 2.84
O (0.7343, 0.2656, 0.2656)  1 V 1.88
O (0.2656, 0.7343, 0.7343)  1 V 1.88
O (0.2656, 0.7343, 0.2656)  1 V 1.88
O (0.7343, 0.2656, 0.7343)  1 V 1.88
O (0.2656, 0.2656, 0.7343)  1 V 1.88
O (0.7343, 0.7343, 0.2656)  1 V 1.88

Computed, not measured: a relaxed MnNiP2 crystal at the meta-GGA r2SCAN level of DFT.

Results
E_form, eV per atom: -0.491

Unit cell a=3.2347 b=5.1497 c=5.6778 alpha=90.00 beta=90.00 gamma=90.00
Last column: nearest neighbours and their distance in Å.
Element x y z (fractional)
Mn (0.5000, 0.4987, 0.0554)  6 P 2.21-2.36
Mn (0.5000, 0.9987, 0.9446)  6 P 2.21-2.36
Ni (0.0000, 0.4977, 0.4506)  6 P 2.24-2.41
Ni (0.0000, 0.9977, 0.5494)  6 P 2.24-2.41
P (0.5000, 0.3130, 0.6802)  2 Mn 2.21-2.33, 4 Ni 2.29-2.41
P (0.5000, 0.8130, 0.3198)  2 Mn 2.21-2.33, 4 Ni 2.29-2.41
P (0.0000, 0.6907, 0.8298)  2 Ni 2.24-2.37, 4 Mn 2.29-2.36
P (0.0000, 0.1907, 0.1702)  2 Ni 2.24-2.37, 4 Mn 2.29-2.36

Computed, not measured: a relaxed Te8Ir3 crystal at the meta-GGA r2SCAN level of DFT.

Results
E_form, eV per atom: -0.304

Unit cell a=6.5052 b=6.5052 c=6.5052 alpha=90.84 beta=90.84 gamma=90.84
Last column: nearest neighbours and their distance in Å.
Element x y z (fractional)
Te (0.8696, 0.3752, 0.1242)  2 Ir 2.67-2.69, 1 Te 2.86
Te (0.3752, 0.1242, 0.8696)  2 Ir 2.67-2.69, 1 Te 2.86
Te (0.1242, 0.8696, 0.3752)  2 Ir 2.67-2.69, 1 Te 2.86
Te (0.6318, 0.6318, 0.6318)  3 Ir 2.70, 1 Te 2.93
Te (0.1304, 0.6248, 0.8758)  2 Ir 2.67-2.69, 1 Te 2.86
Te (0.6248, 0.8758, 0.1304)  2 Ir 2.67-2.69, 1 Te 2.86
Te (0.8758, 0.1304, 0.6248)  2 Ir 2.67-2.69, 1 Te 2.86
Te (0.3682, 0.3682, 0.3682)  3 Ir 2.70, 1 Te 2.93
Ir (0.5000, 0.0000, 0.5000)  6 Te 2.67-2.70
Ir (0.0000, 0.5000, 0.5000)  6 Te 2.67-2.70
Ir (0.5000, 0.5000, 0.0000)  6 Te 2.67-2.70

Computed, not measured: a relaxed CsNp2Se6 crystal at the meta-GGA r2SCAN level of DFT.

Results
E_form, eV per atom: -1.423

Unit cell a=12.5177 b=12.5176 c=12.5177 alpha=160.92 beta=154.83 gamma=31.77
Last column: nearest neighbours and their distance in Å.
Element x y z (fractional)
Cs (0.0000, 0.0000, 0.0000)  8 Se 3.76, 2 Cs 4.15
Np (0.8138, 0.8138, 0.0000)  8 Se 2.89-2.96
Np (0.1862, 0.1862, 0.0000)  8 Se 2.89-2.96
Se (0.8750, 0.6182, 0.2569)  2 Se 2.65-2.80, 2 Np 2.96
Se (0.1250, 0.3818, 0.7431)  2 Se 2.65-2.80, 2 Np 2.96
Se (0.6387, 0.3819, 0.2569)  2 Se 2.65-2.80, 2 Np 2.96
Se (0.3613, 0.6182, 0.7431)  2 Se 2.65-2.80, 2 Np 2.96
Se (0.7303, 0.2303, 0.5000)  4 Np 2.89-2.93
Se (0.2697, 0.7697, 0.5000)  4 Np 2.89-2.93

Computed, not measured: a relaxed Rb2Mn3S4 crystal at the meta-GGA r2SCAN level of DFT.

Results
E_form, eV per atom: -1.248

Unit cell a=6.0073 b=9.4027 c=9.4027 alpha=74.17 beta=71.37 gamma=71.37
Last column: nearest neighbours and their distance in Å.
Element x y z (fractional)
Rb (0.7377, 0.3796, 0.6204)  8 S 3.45-3.74
Rb (0.2623, 0.6204, 0.3796)  8 S 3.45-3.74
Rb (0.7623, 0.8796, 0.1204)  8 S 3.45-3.74
Rb (0.2377, 0.1204, 0.8796)  8 S 3.45-3.74
Mn (0.7500, 0.7500, 0.7500)  4 S 2.44
Mn (0.2500, 0.2500, 0.2500)  4 S 2.44
Mn (0.2500, 0.5274, 0.9726)  4 S 2.41-2.50
Mn (0.2500, 0.9726, 0.5274)  4 S 2.41-2.50
Mn (0.7500, 0.4726, 0.0274)  4 S 2.41-2.50
Mn (0.7500, 0.0274, 0.4726)  4 S 2.41-2.50
S (0.5690, 0.2833, 0.0145)  3 Mn 2.41-2.50
S (0.1333, 0.0145, 0.2833)  3 Mn 2.41-2.50
S (0.9310, 0.4855, 0.2167)  3 Mn 2.41-2.50
S (0.3667, 0.2167, 0.4855)  3 Mn 2.41-2.50
S (0.4310, 0.7167, 0.9855)  3 Mn 2.41-2.50
S (0.8667, 0.9855, 0.7167)  3 Mn 2.41-2.50
S (0.0690, 0.5145, 0.7833)  3 Mn 2.41-2.50
S (0.6333, 0.7833, 0.5145)  3 Mn 2.41-2.50

Computed, not measured: a relaxed DyAg crystal at the meta-GGA r2SCAN level of DFT.

Results
E_form, eV per atom: -0.347

Unit cell a=3.6067 b=3.6067 c=3.6067 alpha=90.00 beta=90.00 gamma=90.00
Last column: nearest neighbours and their distance in Å.
Element x y z (fractional)
Dy (0.0000, 0.0000, 0.0000)  8 Ag 3.12
Ag (0.5000, 0.5000, 0.5000)  8 Dy 3.12

What is the formula in the second record? As